1.
First-principles (r2SCAN) data for a geometry-optimized MgAu5 structure, as listed in Materials Project.

a b c (Å): 5.0260 5.0260 4.7834
angles (deg): 90.00 90.00 120.00
Space group P-62m (No. 189)
One atom of each set of equivalent atoms:
Mg (0.0000, 0.0000, 0.0000) x1
Au (0.0000, 0.6708, 0.5000) x3
Au (0.3333, 0.6667, 0.0000) x2

E_tot (eV per atom): -43.12
Crystal system: hexagonal
DFT formation energy (eV/atom): -0.268
Theoretical density (Mg/m³): 16.01

2.
First-principles (r2SCAN) data for a geometry-optimized MgAu3 structure, as listed in Materials Project.

a b c (Å): 4.0821 4.0821 8.3202
angles (deg): 90.00 90.00 90.00
Space group I4/mmm (No. 139)
One atom of each set of equivalent atoms:
Mg (0.0000, 0.0000, 0.0000) x2
Au (0.0000, 0.0000, 0.5000) x2
Au (0.0000, 0.5000, 0.2500) x4

E_tot (eV per atom): -39.39
Crystal system: tetragonal
DFT formation energy (eV/atom): -0.410
Theoretical density (Mg/m³): 14.74

3.
First-principles (r2SCAN) data for a geometry-optimized TbMgAu structure, as listed in Materials Project.

a b c (Å): 7.5893 7.5893 4.0824
angles (deg): 90.00 90.00 120.00
Space group P-62m (No. 189)
One atom of each set of equivalent atoms:
Tb (0.0000, 0.5865, 0.0000) x3
Mg (0.0000, 0.2432, 0.5000) x3
Au (0.0000, 0.0000, 0.0000) x1
Au (0.3333, 0.6667, 0.5000) x2

E_tot (eV per atom): -29.41
Crystal system: hexagonal
DFT formation energy (eV/atom): -0.750
Theoretical density (Mg/m³): 9.30

4.
First-principles (r2SCAN) data for a geometry-optimized TmMgAu2 structure, as listed in Materials Project.

a b c (Å): 6.8181 6.8181 6.8181
angles (deg): 90.00 90.00 90.00
Space group Fm-3m (No. 225)
One atom of each set of equivalent atoms:
Tm (0.0000, 0.0000, 0.0000) x4
Mg (0.0000, 0.0000, 0.5000) x4
Au (0.2500, 0.2500, 0.2500) x8

E_tot (eV per atom): -35.95
Crystal system: cubic
DFT formation energy (eV/atom): -0.837
Theoretical density (Mg/m³): 12.31

5.
First-principles (r2SCAN) data for a geometry-optimized Mn2Au5 structure, as listed in Materials Project.

a b c (Å): 9.2569 3.9128 6.5701
angles (deg): 90.00 97.12 90.00
Space group C2/m (No. 12)
One atom of each set of equivalent atoms:
Mn (0.0771, 0.0000, 0.2190) x4
Au (0.0000, 0.5000, 0.5000) x2
Au (0.1368, 0.5000, 0.9327) x4
Au (0.2126, 0.0000, 0.6445) x4

E_tot (eV per atom): -40.63
Crystal system: monoclinic
DFT formation energy (eV/atom): -0.301
Theoretical density (Mg/m³): 15.40

6.
First-principles (r2SCAN) data for a geometry-optimized MnAu structure, as listed in Materials Project.

a b c (Å): 3.2078 3.2078 3.2078
angles (deg): 90.00 90.00 90.00
Space group Pm-3m (No. 221)
One atom of each set of equivalent atoms:
Mn (0.0000, 0.0000, 0.0000) x1
Au (0.5000, 0.5000, 0.5000) x1

E_tot (eV per atom): -33.01
Crystal system: cubic
DFT formation energy (eV/atom): -0.374
Theoretical density (Mg/m³): 12.67

7.
First-principles (r2SCAN) data for a geometry-optimized MnAu3 structure, as listed in Materials Project.

a b c (Å): 5.7664 5.7664 4.7444
angles (deg): 90.00 90.00 120.00
Space group P6_3/mmc (No. 194)
One atom of each set of equivalent atoms:
Mn (0.3333, 0.6667, 0.2500) x2
Au (0.1687, 0.3374, 0.7500) x6

E_tot (eV per atom): -41.87
Crystal system: hexagonal
DFT formation energy (eV/atom): -0.257
Theoretical density (Mg/m³): 15.70

8.
First-principles (r2SCAN) data for a geometry-optimized MnAuO2 structure, as listed in Materials Project.

a b c (Å): 5.6058 2.9312 6.2902
angles (deg): 90.00 103.07 90.00
Space group C2/m (No. 12)
One atom of each set of equivalent atoms:
Mn (0.0000, 0.0000, 0.0000) x2
Au (0.0000, 0.5000, 0.5000) x2
O (0.0992, 0.5000, 0.8357) x4

E_tot (eV per atom): -20.69
Crystal system: monoclinic
DFT formation energy (eV/atom): -1.387
Theoretical density (Mg/m³): 9.36

9.
First-principles (r2SCAN) data for a geometry-optimized MnPd2Au structure, as listed in Materials Project.

a b c (Å): 6.3190 6.3190 6.3190
angles (deg): 90.00 90.00 90.00
Space group Fm-3m (No. 225)
One atom of each set of equivalent atoms:
Mn (0.0000, 0.0000, 0.0000) x4
Pd (0.2500, 0.2500, 0.2500) x8
Au (0.0000, 0.0000, 0.5000) x4

E_tot (eV per atom): -28.18
Crystal system: cubic
DFT formation energy (eV/atom): -0.380
Theoretical density (Mg/m³): 12.23

10.
First-principles (r2SCAN) data for a geometry-optimized MnZnAu2 structure, as listed in Materials Project.

a b c (Å): 6.3508 6.3508 6.3508
angles (deg): 90.00 90.00 90.00
Space group Fm-3m (No. 225)
One atom of each set of equivalent atoms:
Mn (0.0000, 0.0000, 0.0000) x4
Zn (0.0000, 0.0000, 0.5000) x4
Au (0.2500, 0.2500, 0.2500) x8

E_tot (eV per atom): -31.51
Crystal system: cubic
DFT formation energy (eV/atom): -0.323
Theoretical density (Mg/m³): 13.34

11.
First-principles (r2SCAN) data for a geometry-optimized NaAu2 structure, as listed in Materials Project.

a b c (Å): 7.8422 7.8422 7.8422
angles (deg): 90.00 90.00 90.00
Space group Fd-3m (No. 227, origin choice 2)
One atom of each set of equivalent atoms:
Na (0.1250, 0.1250, 0.1250) x8
Au (0.0000, 0.0000, 0.5000) x16

E_tot (eV per atom): -35.32
Crystal system: cubic
DFT formation energy (eV/atom): -0.405
Theoretical density (Mg/m³): 11.48

12.
First-principles (r2SCAN) data for a geometry-optimized Na2Au structure, as listed in Materials Project.

a b c (Å): 7.2969 7.2969 5.6170
angles (deg): 90.00 90.00 90.00
Space group I4/mcm (No. 140)
One atom of each set of equivalent atoms:
Na (0.1747, 0.3253, 0.0000) x8
Au (0.0000, 0.0000, 0.2500) x4

E_tot (eV per atom): -19.54
Crystal system: tetragonal
DFT formation energy (eV/atom): -0.297
Theoretical density (Mg/m³): 5.40